Entry from the Materials Project: crystalline Sm2Ga12Pd at its relaxed geometry (PBE).

Its energy relative to the elements is -6.1 eV per formula unit.

a = 6.0693 Å, b = 6.0693 Å, c = 15.7029 Å
α = 90.00°, β = 90.00°, γ = 90.00°
Space group P4/nbm (No. 125, origin choice 2)
One atom of each set of equivalent atoms:
Sm 0.2500 0.7500 0.2495 x4
Ga 0.0008 0.5008 0.4106 x8
Ga 0.0782 0.5782 0.9292 x8
Ga 0.2500 0.2500 0.1569 x4
Ga 0.2500 0.2500 0.3122 x4
Pd 0.2500 0.7500 0.5000 x2